1.
# Mg6SiSn2

An optimized crystal structure of Mg6SiSn2 (PBE-GGA, the Materials Project database).

```
Mg6SiSn2
1.0
-2.361 3.334 7.057
2.361 -3.334 7.057
2.361 3.334 -7.057
Mg Si Sn
6 1 2
Direct
0.082 0.339 0.742
0.236 0.000 0.236
0.403 0.661 0.742
0.597 0.339 0.258
0.764 0.000 0.764
0.918 0.661 0.258
0.000 0.500 0.500
0.334 0.834 0.500
0.666 0.166 0.500
```

2.
# DyFe2Ge2

An optimized crystal structure of DyFe2Ge2 (PBE-GGA, the Materials Project database).

```
DyFe2Ge2
1.0
-1.989 1.989 5.089
1.989 -1.989 5.089
1.989 1.989 -5.089
Dy Fe Ge
1 2 2
Direct
0.000 0.000 0.000
0.250 0.750 0.500
0.750 0.250 0.500
0.372 0.372 0.000
0.628 0.628 0.000
```

3.
# Li2ZnGe

An optimized crystal structure of Li2ZnGe (PBE-GGA, the Materials Project database).

```
Li2ZnGe
1.0
4.312 0.000 0.000
-2.156 3.734 0.000
0.000 0.000 16.545
Li Zn Ge
8 4 4
Direct
0.333 0.667 0.042
0.333 0.667 0.208
0.333 0.667 0.543
0.333 0.667 0.710
0.667 0.333 0.290
0.667 0.333 0.457
0.667 0.333 0.792
0.667 0.333 0.958
0.000 0.000 0.120
0.000 0.000 0.369
0.000 0.000 0.631
0.000 0.000 0.880
0.333 0.667 0.375
0.333 0.667 0.875
0.667 0.333 0.125
0.667 0.333 0.625
```

Number 1: formation energy from the elements -0.156 eV per atom. Number 2: formation energy from the elements -0.457 eV per atom. Number 3: formation energy from the elements -0.340 eV per atom.